(1)
r2SCAN CeEuAl4, relaxed; space group = No. 216; formation energy = -0.484 eV/atom
1.0
0.0000 4.0113 4.0113
4.0113 0.0000 4.0113
4.0113 4.0113 0.0000
Ce Eu Al
1 1 4
direct
0.0000 0.0000 0.0000
0.7500 0.7500 0.7500
0.3746 0.3746 0.3746
0.3746 0.3746 0.8762
0.3746 0.8762 0.3746
0.8762 0.3746 0.3746

---

(2)
r2SCAN CeAl8Fe2, relaxed; space group = No. 55; formation energy = -0.354 eV/atom
1.0
12.4019 0.0000 0.0000
0.0000 14.2104 0.0000
0.0000 0.0000 4.0276
Ce Al Fe
4 32 8
direct
0.1597 0.1810 0.0000
0.3403 0.6810 0.0000
0.6597 0.3190 0.0000
0.8403 0.8190 0.0000
0.0000 0.0000 0.0000
0.0000 0.5000 0.5000
0.0249 0.8679 0.5000
0.0481 0.3204 0.5000
0.0926 0.7460 0.0000
0.1588 0.6215 0.5000
0.1666 0.0067 0.5000
0.1675 0.4539 0.0000
0.2322 0.8265 0.5000
0.2678 0.3265 0.5000
0.3325 0.9539 0.0000
0.3334 0.5067 0.5000
0.3412 0.1215 0.5000
0.4074 0.2460 0.0000
0.4519 0.8204 0.5000
0.4751 0.3679 0.5000
0.5000 0.0000 0.5000
0.5000 0.5000 0.0000
0.5249 0.6321 0.5000
0.5481 0.1796 0.5000
0.5926 0.7540 0.0000
0.6588 0.8785 0.5000
0.6666 0.4933 0.5000
0.6675 0.0461 0.0000
0.7322 0.6735 0.5000
0.7678 0.1735 0.5000
0.8325 0.5461 0.0000
0.8334 0.9933 0.5000
0.8412 0.3785 0.5000
0.9074 0.2540 0.0000
0.9519 0.6796 0.5000
0.9751 0.1321 0.5000
0.0325 0.5876 0.0000
0.1489 0.9016 0.0000
0.3511 0.4016 0.0000
0.4675 0.0876 0.0000
0.5325 0.9124 0.0000
0.6489 0.5984 0.0000
0.8511 0.0984 0.0000
0.9675 0.4124 0.0000

---

(3)
r2SCAN CeAl10Fe2, relaxed; space group = No. 63; formation energy = -0.309 eV/atom
1.0
4.4345 -5.0739 0.0000
4.4345 5.0739 0.0000
0.0000 0.0000 8.9231
Ce Al Fe
2 20 4
direct
0.1232 0.8768 0.7500
0.8768 0.1232 0.2500
0.1314 0.4101 0.7500
0.1618 0.8382 0.0985
0.1618 0.8382 0.4015
0.2216 0.4793 0.2500
0.2284 0.2284 0.0000
0.2284 0.2284 0.5000
0.3759 0.6241 0.5511
0.3759 0.6241 0.9489
0.4101 0.1314 0.2500
0.4793 0.2216 0.7500
0.5207 0.7784 0.2500
0.5899 0.8686 0.7500
0.6241 0.3759 0.0511
0.6241 0.3759 0.4489
0.7716 0.7716 0.0000
0.7716 0.7716 0.5000
0.7784 0.5207 0.7500
0.8382 0.1618 0.5985
0.8382 0.1618 0.9015
0.8686 0.5899 0.2500
0.0000 0.5000 0.0000
0.0000 0.5000 0.5000
0.5000 0.0000 0.0000
0.5000 0.0000 0.5000

---

(4)
r2SCAN Ce2Al9Ir3, relaxed; space group = No. 63; formation energy = -0.916 eV/atom
1.0
6.5561 -3.8162 0.0000
6.5561 3.8162 0.0000
0.0000 0.0000 9.3919
Ce Al Ir
4 18 6
direct
0.0038 0.6706 0.7500
0.3294 0.9962 0.7500
0.6706 0.0038 0.2500
0.9962 0.3294 0.2500
0.0034 0.6647 0.0745
0.0034 0.6647 0.4255
0.1302 0.8698 0.2500
0.3349 0.6651 0.5490
0.3349 0.6651 0.9510
0.3353 0.9966 0.0745
0.3353 0.9966 0.4255
0.3421 0.4519 0.2500
0.4519 0.3421 0.7500
0.5481 0.6579 0.2500
0.6579 0.5481 0.7500
0.6647 0.0034 0.5745
0.6647 0.0034 0.9255
0.6651 0.3349 0.0490
0.6651 0.3349 0.4510
0.8698 0.1302 0.7500
0.9966 0.3353 0.5745
0.9966 0.3353 0.9255
0.0000 0.0000 0.0000
0.0000 0.0000 0.5000
0.3276 0.3276 0.0000
0.3276 0.3276 0.5000
0.6724 0.6724 0.0000
0.6724 0.6724 0.5000

---

(5)
r2SCAN CeAl4Ni, relaxed; space group = No. 63; formation energy = -0.560 eV/atom
1.0
2.0516 -7.7827 0.0000
2.0516 7.7827 0.0000
0.0000 0.0000 6.6051
Ce Al Ni
2 8 2
direct
0.1147 0.8853 0.7500
0.8853 0.1147 0.2500
0.0786 0.9214 0.2500
0.3091 0.6909 0.5543
0.3091 0.6909 0.9457
0.5000 0.5000 0.0000
0.5000 0.5000 0.5000
0.6909 0.3091 0.0543
0.6909 0.3091 0.4457
0.9214 0.0786 0.7500
0.2263 0.7737 0.2500
0.7737 0.2263 0.7500

---

(6)
r2SCAN CeAl5Ni2, relaxed; space group = No. 71; formation energy = -0.624 eV/atom
1.0
-1.9881 3.5016 4.7619
1.9881 -3.5016 4.7619
1.9881 3.5016 -4.7619
Ce Al Ni
1 5 2
direct
0.0000 0.0000 0.0000
0.1518 0.3410 0.8107
0.4697 0.6590 0.8107
0.5000 0.0000 0.5000
0.5303 0.3410 0.1893
0.8482 0.6590 0.1893
0.2612 0.7612 0.5000
0.7388 0.2388 0.5000

---

(7)
r2SCAN CeAlNi, relaxed; space group = No. 189; formation energy = -0.548 eV/atom
1.0
6.8658 0.0000 0.0000
-3.4329 5.9459 0.0000
0.0000 0.0000 4.0197
Ce Al Ni
3 3 3
direct
0.0000 0.5754 0.0000
0.4246 0.4246 0.0000
0.5754 0.0000 0.0000
0.0000 0.2302 0.5000
0.2302 0.0000 0.5000
0.7698 0.7698 0.5000
0.0000 0.0000 0.0000
0.3333 0.6667 0.5000
0.6667 0.3333 0.5000

---

(8)
r2SCAN CeAl3Ni2, relaxed; space group = No. 191; formation energy = -0.613 eV/atom
1.0
5.2504 0.0000 0.0000
-2.6252 4.5470 0.0000
0.0000 0.0000 4.0163
Ce Al Ni
1 3 2
direct
0.0000 0.0000 0.0000
0.0000 0.5000 0.5000
0.5000 0.0000 0.5000
0.5000 0.5000 0.5000
0.3333 0.6667 0.0000
0.6667 0.3333 0.0000

---

(9)
r2SCAN Ce3Al12Os4, relaxed; space group = No. 194; formation energy = -0.664 eV/atom
1.0
8.8624 0.0000 0.0000
-4.4312 7.6750 0.0000
0.0000 0.0000 9.5105
Ce Al Os
6 24 8
direct
0.1940 0.3881 0.2500
0.1940 0.8060 0.2500
0.3881 0.1940 0.7500
0.6119 0.8060 0.2500
0.8060 0.1940 0.7500
0.8060 0.6119 0.7500
0.0000 0.0000 0.2500
0.0000 0.0000 0.7500
0.1236 0.5618 0.7500
0.1628 0.3255 0.5763
0.1628 0.3255 0.9237
0.1628 0.8372 0.5763
0.1628 0.8372 0.9237
0.3255 0.1628 0.0763
0.3255 0.1628 0.4237
0.3333 0.6667 0.0057
0.3333 0.6667 0.4943
0.4382 0.5618 0.7500
0.4382 0.8764 0.7500
0.5618 0.1236 0.2500
0.5618 0.4382 0.2500
0.6667 0.3333 0.5057
0.6667 0.3333 0.9943
0.6745 0.8372 0.5763
0.6745 0.8372 0.9237
0.8372 0.1628 0.0763
0.8372 0.1628 0.4237
0.8372 0.6745 0.0763
0.8372 0.6745 0.4237
0.8764 0.4382 0.2500
0.0000 0.0000 0.0000
0.0000 0.0000 0.5000
0.0000 0.5000 0.0000
0.0000 0.5000 0.5000
0.5000 0.0000 0.0000
0.5000 0.0000 0.5000
0.5000 0.5000 0.0000
0.5000 0.5000 0.5000

---

(10)
r2SCAN CeAlPd, relaxed; space group = No. 38; formation energy = -0.810 eV/atom
1.0
4.2089 0.0000 0.0000
0.0000 6.2403 3.5870
0.0000 -6.2403 3.5870
Ce Al Pd
3 3 3
direct
0.0000 0.0000 0.0000
0.0000 0.1536 0.5754
0.0000 0.5754 0.1536
0.5000 0.3501 0.3501
0.5000 0.5774 0.8046
0.5000 0.8046 0.5774
0.0000 0.5792 0.5792
0.5000 0.2411 0.9123
0.5000 0.9123 0.2411

---

(11)
r2SCAN CeAl4Pd, relaxed; space group = No. 63; formation energy = -0.631 eV/atom
1.0
2.1267 -7.9172 0.0000
2.1267 7.9172 0.0000
0.0000 0.0000 6.7053
Ce Al Pd
2 8 2
direct
0.1143 0.8857 0.7500
0.8857 0.1143 0.2500
0.0720 0.9280 0.2500
0.3156 0.6844 0.5527
0.3156 0.6844 0.9473
0.5000 0.5000 0.0000
0.5000 0.5000 0.5000
0.6844 0.3156 0.0527
0.6844 0.3156 0.4473
0.9280 0.0720 0.7500
0.2239 0.7761 0.2500
0.7761 0.2239 0.7500

---

(12)
r2SCAN CeAl2Pd5, relaxed; space group = No. 139; formation energy = -0.889 eV/atom
1.0
-2.0816 2.0816 7.4593
2.0816 -2.0816 7.4593
2.0816 2.0816 -7.4593
Ce Al Pd
1 2 5
direct
0.0000 0.0000 0.0000
0.2534 0.2534 0.0000
0.7466 0.7466 0.0000
0.1460 0.6460 0.5000
0.3540 0.8540 0.5000
0.5000 0.5000 0.0000
0.6460 0.1460 0.5000
0.8540 0.3540 0.5000

---

(13)
r2SCAN Ce2Al16Pt9, relaxed; space group = No. 12; formation energy = -1.082 eV/atom
1.0
9.3590 -5.9723 0.0000
9.3590 5.9723 0.0000
-0.9199 0.0000 4.0505
Ce Al Pt
2 16 9
direct
0.2278 0.2278 0.2264
0.7722 0.7722 0.7736
0.0862 0.0862 0.5862
0.0922 0.7493 0.9206
0.1038 0.4887 0.7966
0.2507 0.9078 0.0794
0.2742 0.5107 0.3928
0.3859 0.6141 0.0000
0.4887 0.1038 0.7966
0.4893 0.7258 0.6072
0.5107 0.2742 0.3928
0.5113 0.8962 0.2034
0.6141 0.3859 0.0000
0.7258 0.4893 0.6072
0.7493 0.0922 0.9206
0.8962 0.5113 0.2034
0.9078 0.2507 0.0794
0.9138 0.9138 0.4138
0.0000 0.0000 0.0000
0.0264 0.6541 0.3401
0.2503 0.7497 0.5000
0.3459 0.9736 0.6599
0.3764 0.3764 0.8766
0.6236 0.6236 0.1234
0.6541 0.0264 0.3401
0.7497 0.2503 0.5000
0.9736 0.3459 0.6599

---

(14)
r2SCAN CeAlRu, relaxed; space group = No. 62; formation energy = -0.615 eV/atom
1.0
7.4338 0.0000 0.0000
0.0000 4.0138 0.0000
0.0000 0.0000 15.5829
Ce Al Ru
8 8 8
direct
0.0540 0.2500 0.2182
0.1737 0.2500 0.4386
0.3263 0.7500 0.9386
0.4460 0.7500 0.7182
0.5540 0.2500 0.2818
0.6737 0.2500 0.0614
0.8263 0.7500 0.5614
0.9460 0.7500 0.7818
0.0025 0.7500 0.0622
0.1315 0.2500 0.6532
0.3685 0.7500 0.1532
0.4975 0.2500 0.5622
0.5025 0.7500 0.4378
0.6315 0.2500 0.8468
0.8685 0.7500 0.3468
0.9975 0.2500 0.9378
0.2301 0.2500 0.0681
0.2300 0.7500 0.3267
0.2700 0.2500 0.8267
0.2699 0.7500 0.5681
0.7301 0.2500 0.4319
0.7300 0.7500 0.1733
0.7700 0.2500 0.6733
0.7699 0.7500 0.9319

---

(15)
r2SCAN CeAl10Ru2, relaxed; space group = No. 63; formation energy = -0.565 eV/atom
1.0
4.5188 -5.1321 0.0000
4.5188 5.1321 0.0000
0.0000 0.0000 9.1096
Ce Al Ru
2 20 4
direct
0.1238 0.8762 0.7500
0.8762 0.1238 0.2500
0.1384 0.4078 0.7500
0.1605 0.8395 0.1012
0.1605 0.8395 0.3988
0.2208 0.4815 0.2500
0.2278 0.2278 0.0000
0.2278 0.2278 0.5000
0.3773 0.6227 0.5514
0.3773 0.6227 0.9486
0.4078 0.1384 0.2500
0.4815 0.2208 0.7500
0.5185 0.7792 0.2500
0.5922 0.8616 0.7500
0.6227 0.3773 0.0514
0.6227 0.3773 0.4486
0.7722 0.7722 0.0000
0.7722 0.7722 0.5000
0.7792 0.5185 0.7500
0.8395 0.1605 0.6012
0.8395 0.1605 0.8988
0.8616 0.5922 0.2500
0.0000 0.5000 0.0000
0.0000 0.5000 0.5000
0.5000 0.0000 0.0000
0.5000 0.0000 0.5000

---

(16)
r2SCAN Ce2AlRu, relaxed; space group = No. 185; formation energy = -0.534 eV/atom
1.0
7.8151 0.0000 0.0000
-3.9076 6.7681 0.0000
0.0000 0.0000 9.8563
Ce Al Ru
12 6 6
direct
0.0000 0.2552 0.0000
0.0000 0.4219 0.3182
0.0000 0.5781 0.8182
0.0000 0.7448 0.5000
0.2552 0.0000 0.0000
0.2552 0.2552 0.5000
0.4219 0.0000 0.3182
0.4219 0.4219 0.8182
0.5781 0.0000 0.8182
0.5781 0.5781 0.3182
0.7448 0.0000 0.5000
0.7448 0.7448 0.0000
0.0000 0.0000 0.2476
0.0000 0.0000 0.7476
0.3333 0.6667 0.0844
0.3333 0.6667 0.5844
0.6667 0.3333 0.0844
0.6667 0.3333 0.5844
0.0000 0.3450 0.6624
0.0000 0.6550 0.1624
0.3450 0.0000 0.6624
0.3450 0.3450 0.1624
0.6550 0.0000 0.1624
0.6550 0.6550 0.6624